Below is a geometry-optimized NiP6W3O24 structure, with properties calculated at the PBE+U level.

a = 8.924 Å, b = 8.924 Å, c = 8.924 Å
α = 58.78°, β = 58.78°, γ = 58.78°
Atoms (fractional coordinates):
O: 0.430 0.558 0.786
O: 0.210 0.584 0.425
Ni: 0.859 0.859 0.859
O: 0.083 0.713 0.942
O: 0.713 0.942 0.083
O: 0.499 0.125 0.297
O: 0.125 0.297 0.499
O: 0.636 0.014 0.770
O: 0.558 0.786 0.430
P: 0.246 0.540 0.963
O: 0.056 0.923 0.287
O: 0.226 0.364 0.988
O: 0.859 0.721 0.500
O: 0.014 0.770 0.636
O: 0.988 0.226 0.364
O: 0.425 0.210 0.584
W: 0.642 0.642 0.642
O: 0.721 0.500 0.859
P: 0.470 0.035 0.752
O: 0.287 0.056 0.923
W: 0.356 0.356 0.356
O: 0.923 0.287 0.056
O: 0.770 0.636 0.014
O: 0.584 0.425 0.210
P: 0.752 0.470 0.035
O: 0.786 0.430 0.558
P: 0.540 0.963 0.246
P: 0.035 0.752 0.470
O: 0.364 0.988 0.226
W: 0.142 0.142 0.142
O: 0.942 0.083 0.713
P: 0.963 0.246 0.540
O: 0.297 0.499 0.125
O: 0.500 0.859 0.721

## Properties
spin magnetization: 4.000 μB/f.u.
electronic total energy: -7.24 eV per atom
space-group type: R3
volume: 14.37 A^3/atom
ΔE_f: -2.4278 eV per atom